1.
The following is a DFT calculation (r²SCAN) of a relaxed Eu2BrO2 crystal.

abc: 12.8367 3.9904 9.6622
angles: 90.00 122.80 90.00
Space group C2/m (No. 12)
Asymmetric unit:
Eu 0.0443 0.0000 0.3024 [4 per cell]
Eu 0.1604 0.5000 0.0550 [4 per cell]
Br 0.1705 0.5000 0.6235 [4 per cell]
O 0.0502 0.5000 0.1852 [4 per cell]
O 0.1475 0.0000 0.9252 [4 per cell]

Computed properties:
The energy of formation is -15.0 eV/f.u. Its size of the total moment is 52.0 Bohr magnetons per cell. The calculation puts the density at 6.64 Mg/m³. The value obtained for the total energy is -23.447 eV per atom.


2.
The following is a DFT calculation (r²SCAN) of a relaxed Er3Mg crystal.

abc: 3.5354 3.5354 9.2173
angles: 90.00 90.00 90.00
Space group P4/mmm (No. 123)
Asymmetric unit:
Er 0.0000 0.0000 0.0000 [1 per cell]
Er 0.5000 0.5000 0.2642 [2 per cell]
Mg 0.0000 0.0000 0.5000 [1 per cell]

Computed properties:
The energy of formation is 0.0 eV/f.u. Its size of the total moment is 0.0 Bohr magnetons per cell. The calculation puts the density at 7.58 Mg/m³. The value obtained for the total energy is -26.489 eV per atom.


3.
The following is a DFT calculation (r²SCAN) of a relaxed Pa3Te crystal.

abc: 4.5703 4.5703 4.5703
angles: 90.00 90.00 90.00
Space group Pm-3m (No. 221)
Asymmetric unit:
Pa 0.0000 0.0000 0.5000 [3 per cell]
Te 0.5000 0.5000 0.5000 [1 per cell]

Computed properties:
The energy of formation is -1.6 eV/f.u. Its size of the total moment is 0.0 Bohr magnetons per cell. The calculation puts the density at 14.28 Mg/m³. The value obtained for the total energy is -64.407 eV per atom.


4.
The following is a DFT calculation (r²SCAN) of a relaxed H crystal.

abc: 6.1831 11.7583 4.5689
angles: 90.00 90.00 90.00
Space group Pnma (No. 62)
Asymmetric unit:
H 0.0469 0.2500 0.2060 [4 per cell]
H 0.0499 0.5036 0.5440 [8 per cell]
H 0.1031 0.2500 0.0627 [4 per cell]

Computed properties:
The energy of formation is 0.0 eV/f.u. Its size of the total moment is 0.0 Bohr magnetons per cell. The calculation puts the density at 0.08 Mg/m³. The value obtained for the total energy is -3.453 eV per atom.